1.
An optimized crystal structure of Li3V3CoO8, computed with PBE+U.

Cell: 5.812 5.854 5.929 Å, 60.50 60.90 60.73°
Positions (direct):
Li: 0.000 0.000 0.500
Li: 0.000 0.500 0.500
Li: 0.500 0.000 0.500
V: 0.500 0.500 0.000
V: 0.500 0.000 0.000
V: 0.000 0.500 0.000
Co: 0.000 0.000 0.000
O: 0.739 0.751 0.770
O: 0.235 0.236 0.783
O: 0.236 0.754 0.785
O: 0.261 0.249 0.230
O: 0.748 0.220 0.783
O: 0.765 0.764 0.217
O: 0.764 0.246 0.215
O: 0.252 0.780 0.217

Computed properties:
The calculation puts the total DFT energy (no corrections) at -6.7665 eV/atom. The value obtained for the energy of formation is -2.27 eV/atom. The symmetry is No. 2.



2.
An optimized crystal structure of Li2V3CoO8, computed with PBE+U.

Cell: 5.816 10.244 5.976 Å, 89.47 120.13 106.98°
Positions (direct):
Li: 0.629 0.438 0.318
Li: 0.628 0.940 0.812
Li: 0.371 0.062 0.182
Li: 0.372 0.560 0.688
V: 0.999 0.500 0.001
V: 0.001 0.250 0.250
V: 0.000 0.250 0.750
V: 0.000 0.000 0.498
V: 0.000 0.750 0.750
V: 0.000 0.750 0.250
Co: 0.500 0.750 0.250
Co: 0.500 0.250 0.750
O: 0.785 0.126 0.377
O: 0.785 0.624 0.903
O: 0.215 0.373 0.122
O: 0.214 0.875 0.598
O: 0.759 0.869 0.156
O: 0.764 0.374 0.665
O: 0.766 0.646 0.373
O: 0.762 0.145 0.889
O: 0.752 0.870 0.592
O: 0.749 0.363 0.098
O: 0.249 0.630 0.909
O: 0.250 0.136 0.402
O: 0.234 0.854 0.128
O: 0.238 0.355 0.611
O: 0.241 0.631 0.344
O: 0.238 0.126 0.836

Computed properties:
The calculation puts the total DFT energy (no corrections) at -6.9607 eV/atom. The value obtained for the energy of formation is -2.28 eV/atom. The symmetry is No. 2.



3.
An optimized crystal structure of Li2V3CoO8, computed with PBE+U.

Cell: 8.254 8.254 8.254 Å, 90.00 90.00 90.00°
Positions (direct):
Li: 0.003 0.003 0.003
Li: 0.247 0.247 0.247
Li: 0.253 0.753 0.747
Li: 0.497 0.997 0.503
Li: 0.503 0.497 0.997
Li: 0.747 0.253 0.753
Li: 0.753 0.747 0.253
Li: 0.997 0.503 0.497
V: 0.125 0.125 0.625
V: 0.125 0.375 0.875
V: 0.125 0.625 0.125
V: 0.375 0.375 0.625
V: 0.375 0.625 0.375
V: 0.375 0.875 0.125
V: 0.625 0.375 0.375
V: 0.625 0.125 0.125
V: 0.625 0.875 0.875
V: 0.875 0.125 0.375
V: 0.875 0.875 0.625
V: 0.875 0.625 0.875
Co: 0.125 0.875 0.375
Co: 0.375 0.125 0.875
Co: 0.625 0.625 0.625
Co: 0.875 0.375 0.125
O: 0.110 0.114 0.387
O: 0.113 0.890 0.614
O: 0.115 0.615 0.885
O: 0.136 0.140 0.863
O: 0.114 0.387 0.110
O: 0.135 0.365 0.635
O: 0.137 0.636 0.360
O: 0.140 0.863 0.136
O: 0.360 0.137 0.636
O: 0.363 0.364 0.860
O: 0.365 0.635 0.135
O: 0.386 0.613 0.610
O: 0.364 0.860 0.363
O: 0.385 0.385 0.385
O: 0.387 0.110 0.114
O: 0.390 0.886 0.887
O: 0.610 0.386 0.613
O: 0.613 0.610 0.386
O: 0.615 0.885 0.115
O: 0.636 0.360 0.137
O: 0.614 0.113 0.890
O: 0.635 0.135 0.365
O: 0.637 0.864 0.640
O: 0.640 0.637 0.864
O: 0.860 0.363 0.364
O: 0.863 0.136 0.140
O: 0.865 0.865 0.865
O: 0.886 0.887 0.390
O: 0.864 0.640 0.637
O: 0.885 0.115 0.615
O: 0.887 0.390 0.886
O: 0.890 0.614 0.113

Computed properties:
The calculation puts the total DFT energy (no corrections) at -6.9305 eV/atom. The value obtained for the energy of formation is -2.25 eV/atom. The symmetry is No. 212.



4.
An optimized crystal structure of Li2V3CoO8, computed with PBE+U.

Cell: 5.808 10.258 5.962 Å, 90.15 120.15 106.26°
Positions (direct):
Li: 0.627 0.439 0.314
Li: 0.628 0.935 0.810
Li: 0.369 0.061 0.187
Li: 0.374 0.563 0.690
V: 0.001 0.505 0.005
V: 0.997 0.250 0.251
V: 0.008 0.754 0.260
V: 0.994 0.998 0.494
V: 0.998 0.749 0.747
V: 0.002 0.249 0.751
Co: 0.502 0.748 0.247
Co: 0.500 0.253 0.749
O: 0.782 0.140 0.385
O: 0.786 0.623 0.902
O: 0.210 0.368 0.113
O: 0.220 0.867 0.601
O: 0.754 0.863 0.147
O: 0.769 0.367 0.663
O: 0.765 0.643 0.370
O: 0.762 0.146 0.884
O: 0.751 0.867 0.594
O: 0.753 0.367 0.097
O: 0.245 0.626 0.906
O: 0.245 0.138 0.400
O: 0.235 0.853 0.126
O: 0.237 0.357 0.614
O: 0.248 0.630 0.344
O: 0.239 0.142 0.849

Computed properties:
The calculation puts the total DFT energy (no corrections) at -6.9569 eV/atom. The value obtained for the energy of formation is -2.28 eV/atom. The symmetry is No. 1.



5.
An optimized crystal structure of Li3V3CoO8, computed with PBE+U.

Cell: 10.379 10.325 14.665 Å, 18.96 19.16 32.84°
Positions (direct):
Li: 0.000 0.500 0.500
Li: 0.500 0.000 0.500
Li: 0.500 0.500 0.500
V: 0.000 0.500 0.000
V: 0.500 0.000 0.000
V: 0.500 0.500 0.000
Co: 0.000 0.000 0.000
O: 0.014 0.003 0.245
O: 0.997 0.509 0.257
O: 0.518 0.991 0.256
O: 0.986 0.997 0.755
O: 0.471 0.499 0.281
O: 0.003 0.491 0.743
O: 0.482 0.009 0.744
O: 0.529 0.501 0.719

Computed properties:
The calculation puts the total DFT energy (no corrections) at -6.7669 eV/atom. The value obtained for the energy of formation is -2.27 eV/atom. The symmetry is No. 2.



6.
An optimized crystal structure of Li4V5Co3O16, computed with PBE+U.

Cell: 5.917 5.917 9.578 Å, 89.16 89.16 60.14°
Positions (direct):
Li: 0.338 0.338 0.099
Li: 0.000 0.000 0.006
Li: 0.000 0.000 0.513
Li: 0.667 0.667 0.600
V: 0.842 0.353 0.280
V: 0.353 0.353 0.512
V: 0.179 0.179 0.771
V: 0.662 0.662 0.998
V: 0.353 0.842 0.280
Co: 0.655 0.165 0.790
Co: 0.165 0.655 0.790
Co: 0.830 0.830 0.292
O: 0.653 0.180 0.410
O: 0.477 0.477 0.644
O: 0.316 0.316 0.895
O: 0.009 0.009 0.705
O: 0.006 0.006 0.198
O: 0.180 0.653 0.410
O: 0.467 0.039 0.645
O: 0.039 0.467 0.645
O: 0.823 0.823 0.920
O: 0.168 0.168 0.397
O: 0.961 0.508 0.155
O: 0.508 0.961 0.155
O: 0.653 0.653 0.397
O: 0.823 0.355 0.912
O: 0.523 0.523 0.161
O: 0.355 0.823 0.912

Computed properties:
The calculation puts the total DFT energy (no corrections) at -6.7826 eV/atom. The value obtained for the energy of formation is -2.17 eV/atom. The symmetry is No. 8.



Q: Which total moment values were calculated for the entries above? A: 5.00; 0.00; 16.00; 8.00; 5.00; 12.00, in μB/cell.